# 1
First-principles (PBE+U) data for a geometry-optimized Sr4CaMn2Ga2O10 structure, as listed in Materials Project.

Output
Offset from the most stable computed form   50 meV/atom
Spin magnetization   10.00 μB/f.u.
DFT formation energy   -59.175 kcal/mol of atoms

a = 6.1077 Å, b = 6.0476 Å, c = 9.9982 Å
α = 66.27°, β = 73.75°, γ = 98.06°
Positions (direct):
1 O 0.2521 0.7576 0.9511
2 O 0.3118 0.5859 0.5477
3 O 0.8216 0.9472 0.4271
4 O 0.7913 0.8420 0.9155
5 O 0.2087 0.1580 0.0845
6 O 0.1784 0.0528 0.5729
7 O 0.3538 0.4753 0.2499
8 O 0.6462 0.5247 0.7501
9 O 0.6882 0.4141 0.4523
10 O 0.7479 0.2424 0.0489
11 Ga 0.6305 0.6223 0.5522
12 Ga 0.3695 0.3777 0.4478
13 Mn 0.0000 0.0000 0.0000
14 Mn 0.5000 0.5000 0.0000
15 Sr 0.9321 0.3700 0.2042
16 Sr 0.0679 0.6300 0.7958
17 Sr 0.2427 0.9591 0.3522
18 Sr 0.7573 0.0409 0.6478
19 Ca 0.5000 0.0000 0.0000

# 2
First-principles (PBE+U) data for a geometry-optimized Sr4CaMn2Ga2O10 structure, as listed in Materials Project.

Output
Offset from the most stable computed form   47 meV/atom
Spin magnetization   10.00 μB/f.u.
DFT formation energy   -59.232 kcal/mol of atoms

a = 5.9346 Å, b = 5.8841 Å, c = 9.4370 Å
α = 70.30°, β = 70.15°, γ = 85.35°
Positions (direct):
1 O 0.6278 0.7199 0.6728
2 O 0.2366 0.7368 0.0265
3 O 0.8237 0.9145 0.2914
4 O 0.3001 0.6302 0.4977
5 O 0.7984 0.2983 0.9029
6 O 0.7391 0.7391 0.0216
7 O 0.1997 0.1070 0.6726
8 O 0.2442 0.2443 0.0112
9 O 0.7022 0.3719 0.4976
10 O 0.3843 0.2942 0.2912
11 Sr 0.9333 0.3922 0.2157
12 Sr 0.1416 0.6469 0.8197
13 Sr 0.5381 0.0335 0.8197
14 Sr 0.3512 0.8920 0.2157
15 Mn 0.9578 0.0046 0.0280
16 Mn 0.5139 0.4673 0.0278
17 Ga 0.6166 0.7225 0.4810
18 Ga 0.4023 0.2963 0.4808
19 Ca 0.9297 0.4293 0.6405

# 3
First-principles (PBE+U) data for a geometry-optimized Sr4CaMn2Ga2O10 structure, as listed in Materials Project.

Output
Offset from the most stable computed form   0 meV/atom
Spin magnetization   9.87 μB/f.u.
DFT formation energy   -60.321 kcal/mol of atoms

a = 5.8521 Å, b = 5.8527 Å, c = 9.3908 Å
α = 71.31°, β = 71.32°, γ = 88.81°
Positions (direct):
1 Ca 0.9819 0.9983 0.5166
2 Ga 0.6585 0.6523 0.5157
3 Ga 0.3275 0.3247 0.5164
4 Sr 0.5928 0.0876 0.8252
5 Sr 0.9024 0.3937 0.2037
6 Sr 0.0870 0.5959 0.8208
7 Sr 0.3898 0.9018 0.2081
8 O 0.7328 0.7348 0.0335
9 O 0.6947 0.6889 0.6984
10 O 0.7434 0.2444 0.0139
11 O 0.3253 0.6579 0.5158
12 O 0.2520 0.2537 0.9956
13 O 0.8787 0.8743 0.3361
14 O 0.6624 0.3179 0.5158
15 O 0.2442 0.7452 0.0120
16 O 0.2860 0.2856 0.3368
17 O 0.1051 0.1057 0.6985
18 Mn 0.9954 0.9962 0.0082
19 Mn 0.4972 0.4983 0.0074

# 4
First-principles (PBE+U) data for a geometry-optimized SrCa5Mn4Ga2O16 structure, as listed in Materials Project.

Output
Spin magnetization   13.99 μB/f.u.
DFT formation energy   -60.967 kcal/mol of atoms

a = 11.1290 Å, b = 5.4541 Å, c = 5.6325 Å
α = 89.95°, β = 90.00°, γ = 90.00°
Positions (direct):
1 O 0.0000 0.5781 0.6300
2 O 0.5000 0.4776 0.3113
3 O 0.2988 0.7313 0.5100
4 O 0.1430 0.5101 0.1786
5 O 0.8570 0.5101 0.1786
6 O 0.1431 0.0082 0.8213
7 O 0.8569 0.0082 0.8213
8 O 0.6558 0.2376 0.0010
9 O 0.7012 0.7313 0.5100
10 O 0.5000 0.9898 0.6678
11 O 0.0000 0.0787 0.3697
12 O 0.3471 0.7471 0.0084
13 O 0.2982 0.2342 0.4950
14 O 0.6529 0.7471 0.0084
15 O 0.7018 0.2342 0.4950
16 O 0.3442 0.2376 0.0010
17 Ca 0.1913 0.9755 0.2208
18 Ca 0.8106 0.4734 0.7809
19 Ca 0.1894 0.4734 0.7809
20 Ca 0.8087 0.9755 0.2208
21 Ca 0.5000 0.0025 0.2368
22 Sr 0.5000 0.4928 0.7541
23 Mn 0.6720 0.4887 0.2568
24 Mn 0.3280 0.4887 0.2568
25 Mn 0.6718 0.9877 0.7427
26 Mn 0.3282 0.9877 0.7427
27 Ga 0.0000 0.9279 0.6740
28 Ga 0.0000 0.4284 0.3251

# 5
First-principles (PBE+U) data for a geometry-optimized Sr4CaMn2Ga2O11 structure, as listed in Materials Project.

Output
Offset from the most stable computed form   20 meV/atom
Spin magnetization   8.02 μB/f.u.
DFT formation energy   -58.437 kcal/mol of atoms

a = 6.0607 Å, b = 6.0610 Å, c = 8.7440 Å
α = 67.86°, β = 67.21°, γ = 84.11°
Positions (direct):
1 O 0.3415 0.1822 0.9970
2 O 0.1591 0.0286 0.7915
3 O 0.9699 0.4970 0.5455
4 O 0.5426 0.0153 0.4545
5 O 0.3202 0.4506 0.2085
6 O 0.4699 0.4699 0.5000
7 O 0.9352 0.8249 0.2263
8 O 0.8293 0.3293 0.0000
9 O 0.6792 0.8387 0.0030
10 O 0.0284 0.0284 0.5000
11 O 0.5513 0.6615 0.7737
12 Ca 0.3177 0.8177 0.0000
13 Sr 0.8732 0.3623 0.2635
14 Sr 0.3545 0.8465 0.3052
15 Sr 0.6518 0.1597 0.6948
16 Sr 0.1257 0.6368 0.7365
17 Ga 0.5239 0.4010 0.9970
18 Ga 0.8981 0.0210 0.0030
19 Mn 0.2494 0.2493 0.5000
20 Mn 0.7507 0.7506 0.5000

# 6
First-principles (PBE+U) data for a geometry-optimized Sr4CaMn2Ga2O11 structure, as listed in Materials Project.

Output
Offset from the most stable computed form   127 meV/atom
Spin magnetization   7.99 μB/f.u.
DFT formation energy   -55.958 kcal/mol of atoms

a = 5.7778 Å, b = 5.7964 Å, c = 8.8536 Å
α = 72.00°, β = 73.79°, γ = 89.13°
Positions (direct):
1 Sr 0.8690 0.3700 0.2709
2 Sr 0.6310 0.1300 0.7291
3 Sr 0.0676 0.5790 0.8366
4 Sr 0.4324 0.9210 0.1634
5 O 0.9607 0.8301 0.2317
6 O 0.5393 0.6699 0.7683
7 O 0.7500 0.7500 0.0000
8 O 0.7500 0.2500 0.0000
9 O 0.5463 0.0151 0.4311
10 O 0.2500 0.2500 0.0000
11 O 0.3352 0.4558 0.2286
12 O 0.1648 0.0442 0.7714
13 O 0.5086 0.4675 0.5013
14 O 0.9537 0.4849 0.5689
15 O 0.9914 0.0325 0.4987
16 Mn 0.7500 0.7500 0.5000
17 Mn 0.2500 0.2500 0.5000
18 Ga 0.9902 0.0135 0.0006
19 Ga 0.5098 0.4865 0.9994
20 Ca 0.2500 0.7500 0.5000

# 7
First-principles (PBE+U) data for a geometry-optimized CaGa4W2O12 structure, as listed in Materials Project.

Output
Offset from the most stable computed form   75 meV/atom
Spin magnetization   2.01 μB/f.u.
DFT formation energy   -47.845 kcal/mol of atoms

a = 4.8449 Å, b = 4.8448 Å, c = 9.2052 Å
α = 90.00°, β = 90.00°, γ = 90.00°
Positions (direct):
1 O 0.8118 0.8024 0.8318
2 O 0.1649 0.2153 0.1617
3 O 0.6815 0.2775 0.0025
4 O 0.7152 0.3352 0.3383
5 O 0.7775 0.8185 0.4975
6 O 0.2848 0.6648 0.3383
7 O 0.2226 0.1815 0.4975
8 O 0.3185 0.7226 0.0025
9 O 0.6977 0.3118 0.6682
10 O 0.3023 0.6882 0.6682
11 O 0.8352 0.7848 0.1617
12 O 0.1882 0.1977 0.8318
13 Ga 0.5000 0.5000 0.8305
14 Ga 0.5000 0.5000 0.1466
15 Ga 0.0000 0.0000 0.3534
16 Ga 0.0000 0.0000 0.6695
17 Ca 0.5000 0.0000 0.2500
18 W 0.5000 0.5000 0.5084
19 W 0.0000 0.0000 0.9916

# 8
First-principles (PBE+U) data for a geometry-optimized CaGa4W2O12 structure, as listed in Materials Project.

Output
Offset from the most stable computed form   0 meV/atom
Spin magnetization   2.00 μB/f.u.
DFT formation energy   -49.582 kcal/mol of atoms

a = 5.4404 Å, b = 5.2591 Å, c = 9.0275 Å
α = 84.47°, β = 94.62°, γ = 106.34°
Positions (direct):
1 Ga 0.9397 0.1036 0.3306
2 Ga 0.5950 0.5087 0.1669
3 Ga 0.9644 0.0441 0.6586
4 Ga 0.4700 0.5164 0.8556
5 W 0.5469 0.4683 0.5074
6 W 0.8611 0.0543 0.9807
7 O 0.7208 0.2557 0.6256
8 O 0.6560 0.2517 0.3272
9 O 0.1437 0.2427 0.8392
10 O 0.6187 0.2964 0.0087
11 O 0.4257 0.6137 0.3247
12 O 0.8280 0.7949 0.8213
13 O 0.1955 0.1910 0.4969
14 O 0.8814 0.8113 0.1824
15 O 0.4787 0.7509 0.0032
16 O 0.4092 0.6044 0.6502
17 O 0.1141 0.2716 0.1507
18 O 0.8312 0.7925 0.4961
19 Ca 0.3203 0.9281 0.1741

# 9
First-principles (PBE+U) data for a geometry-optimized CaMnGeO4 structure, as listed in Materials Project.

Output
Spin magnetization   5.00 μB/f.u.
DFT formation energy   -59.235 kcal/mol of atoms

a = 5.1518 Å, b = 6.6058 Å, c = 11.4442 Å
α = 90.00°, β = 90.00°, γ = 90.00°
Positions (direct):
1 O 0.2681 0.7500 0.4133
2 O 0.7681 0.2500 0.0867
3 O 0.7264 0.5369 0.8439
4 O 0.7647 0.7500 0.5518
5 O 0.7264 0.9631 0.8439
6 O 0.2736 0.0369 0.1561
7 O 0.7319 0.2500 0.5867
8 O 0.2647 0.2500 0.9482
9 O 0.2319 0.7500 0.9133
10 O 0.2353 0.2500 0.4482
11 O 0.2736 0.4631 0.1561
12 O 0.2264 0.4631 0.6561
13 O 0.7353 0.7500 0.0518
14 O 0.7736 0.9631 0.3439
15 O 0.7736 0.5369 0.3439
16 O 0.2264 0.0369 0.6561
17 Ca 0.5105 0.2500 0.7773
18 Ca 0.9895 0.2500 0.2773
19 Ca 0.4895 0.7500 0.2227
20 Ca 0.0105 0.7500 0.7227
21 Ge 0.5743 0.7500 0.9115
22 Ge 0.4257 0.2500 0.0885
23 Ge 0.9257 0.7500 0.4115
24 Ge 0.0743 0.2500 0.5885
25 Mn 0.5000 0.0000 0.5000
26 Mn 0.0000 0.5000 0.0000
27 Mn 0.5000 0.5000 0.5000
28 Mn 0.0000 0.0000 0.0000

# 10
First-principles (PBE+U) data for a geometry-optimized CaMnGe2O6 structure, as listed in Materials Project.

Output
Offset from the most stable computed form   28 meV/atom
Spin magnetization   5.00 μB/f.u.
DFT formation energy   -55.797 kcal/mol of atoms

a = 9.3362 Å, b = 5.3841 Å, c = 10.4308 Å
α = 75.29°, β = 90.00°, γ = 90.00°
Positions (direct):
1 O 0.2587 0.1784 0.3943
2 O 0.7413 0.8216 0.6057
3 O 0.3511 0.2601 0.8691
4 O 0.8333 0.8033 0.3555
5 O 0.7587 0.3216 0.6057
6 O 0.9807 0.3433 0.4127
7 O 0.4854 0.2471 0.1357
8 O 0.1667 0.1967 0.6445
9 O 0.5193 0.8433 0.4127
10 O 0.8511 0.2399 0.1309
11 O 0.8079 0.6642 0.9007
12 O 0.6667 0.3033 0.3555
13 O 0.0193 0.6567 0.5873
14 O 0.6921 0.1642 0.9007
15 O 0.5146 0.7529 0.8643
16 O 0.3079 0.8358 0.0993
17 O 0.0146 0.7471 0.1357
18 O 0.6489 0.7399 0.1309
19 O 0.4807 0.1567 0.5873
20 O 0.3333 0.6967 0.6445
21 O 0.2413 0.6784 0.3943
22 O 0.9854 0.2529 0.8643
23 O 0.1489 0.7601 0.8691
24 O 0.1921 0.3358 0.0993
25 Ge 0.3456 0.1786 0.0431
26 Ge 0.1493 0.3875 0.4805
27 Ge 0.8456 0.3214 0.9569
28 Ge 0.6544 0.8214 0.9569
29 Ge 0.1544 0.6786 0.0431
30 Ge 0.6493 0.1125 0.5195
31 Ge 0.8507 0.6125 0.5195
32 Ge 0.3507 0.8875 0.4805
33 Mn 0.6591 0.0333 0.2365
34 Mn 0.3409 0.9667 0.7635
35 Mn 0.8409 0.5333 0.2365
36 Mn 0.1591 0.4667 0.7635
37 Ca 0.0508 0.0263 0.2722
38 Ca 0.4492 0.5263 0.2722
39 Ca 0.5508 0.4737 0.7278
40 Ca 0.9492 0.9737 0.7278

# 11
First-principles (PBE+U) data for a geometry-optimized CaMnGe2O6 structure, as listed in Materials Project.

Output
Offset from the most stable computed form   0 meV/atom
Spin magnetization   0.00 μB/f.u.
DFT formation energy   -56.450 kcal/mol of atoms

a = 5.5337 Å, b = 6.9716 Å, c = 6.9716 Å
α = 83.52°, β = 79.30°, γ = 79.30°
Positions (direct):
1 O 0.4793 0.6760 0.6094
2 O 0.5207 0.3241 0.3906
3 O 0.3579 0.0178 0.2086
4 O 0.6421 0.9822 0.7914
5 O 0.0207 0.3906 0.3241
6 O 0.9793 0.6094 0.6759
7 O 0.6488 0.6217 0.1129
8 O 0.3512 0.3783 0.8871
9 O 0.1488 0.1129 0.6217
10 O 0.8579 0.2086 0.0178
11 O 0.1421 0.7914 0.9822
12 O 0.8512 0.8871 0.3783
13 Ca 0.2500 0.6967 0.3033
14 Ca 0.7500 0.3033 0.6967
15 Mn 0.7500 0.9078 0.0922
16 Mn 0.2501 0.0922 0.9078
17 Ge 0.2304 0.6159 0.8105
18 Ge 0.7696 0.3841 0.1895
19 Ge 0.7304 0.8105 0.6159
20 Ge 0.2696 0.1895 0.3841

# 12
First-principles (PBE+U) data for a geometry-optimized CaVGe4O12 structure, as listed in Materials Project.

Output
Spin magnetization   1.00 μB/f.u.
DFT formation energy   -44.934 kcal/mol of atoms

a = 5.1651 Å, b = 5.1651 Å, c = 7.6219 Å
α = 90.00°, β = 90.00°, γ = 82.51°
Positions (direct):
1 O 0.1697 0.8303 0.7672
2 O 0.8400 0.1600 0.3385
3 O 0.0128 0.6099 0.5000
4 O 0.3901 0.9872 0.5000
5 O 0.3287 0.3280 0.2529
6 O 0.6720 0.6713 0.2529
7 O 0.8400 0.1600 0.6615
8 O 0.9682 0.4400 0.0000
9 O 0.5600 0.0318 0.0000
10 O 0.3287 0.3280 0.7471
11 O 0.1697 0.8303 0.2328
12 O 0.6720 0.6713 0.7471
13 Ge 0.0052 0.5096 0.2377
14 Ge 0.4904 0.9948 0.2377
15 Ge 0.4904 0.9948 0.7623
16 Ge 0.0052 0.5096 0.7623
17 Ca 0.4923 0.5077 0.0000
18 V 0.0554 0.9446 0.5000